1.
Computed, not measured: K4Mo5H4Se2O23 after structural relaxation at the PBE with a Hubbard U level of DFT.

a b c (Å): 10.2861 11.1387 12.1860
angles (deg): 104.29 90.00 117.50
Closest atoms and distances in Å follow each position.
Element x y z (fractional)
K 0.9866 0.6488 0.2275  4 O 2.71-2.82
K 0.3378 0.3512 0.7725  4 O 2.71-2.82
K 0.3371 0.9818 0.7531  4 O 2.78-2.90
K 0.3553 0.0182 0.2469  4 O 2.78-2.90
K 0.7452 0.3587 0.9075  7 O 2.80-3.05, 1 H 3.12
K 0.3865 0.6413 0.0925  7 O 2.80-3.05, 1 H 3.12
K 0.9222 0.6288 0.5915  6 O 2.75-3.01
K 0.2934 0.3712 0.4085  6 O 2.75-3.01
Mo 0.6906 0.0000 0.0000  4 O 1.75-1.95
Mo 0.7390 0.7065 0.8969  2 O 1.75
Mo 0.0326 0.2935 0.1031  2 O 1.75
Mo 0.1014 0.8023 0.9611  3 O 1.74-1.95
Mo 0.2991 0.1977 0.0389  3 O 1.74-1.95
Mo 0.6423 0.7108 0.3808  2 O 1.74-1.75
Mo 0.9316 0.2892 0.6192  2 O 1.74-1.75
Mo 0.3695 0.8019 0.4457  4 O 1.74-1.95
Mo 0.5676 0.1981 0.5543  4 O 1.74-1.95
Mo 0.9812 0.0000 0.5000  4 O 1.75-1.96
H 0.9568 0.4265 0.3664  1 O 0.98
H 0.5303 0.5735 0.6336  1 O 0.98
H 0.7923 0.3925 0.3610  1 O 0.98
H 0.3998 0.6075 0.6390  1 O 0.98
H 0.7156 0.3336 0.1569  1 O 0.98
H 0.3821 0.6664 0.8431  1 O 0.98
H 0.6331 0.4219 0.1661  1 O 0.98
H 0.2112 0.5781 0.8339  1 O 0.98
Se 0.9807 0.0193 0.8302  3 O 1.69-1.76
Se 0.9615 0.9807 0.1698  3 O 1.69-1.76
Se 0.6797 0.9606 0.6639  3 O 1.69-1.76
Se 0.7191 0.0394 0.3361  3 O 1.69-1.76
O 0.8928 0.4703 0.3717  2 H 0.98
O 0.4225 0.5297 0.6283  2 H 0.98
O 0.1671 0.1174 0.8558  1 Se 1.69
O 0.0497 0.8826 0.1442  1 Se 1.69
O 0.7216 0.4177 0.1413  2 H 0.98
O 0.3039 0.5823 0.8587  2 H 0.98
O 0.9185 0.1133 0.9337  1 Se 1.75
O 0.8052 0.8867 0.0663  1 Se 1.75
O 0.9588 0.8799 0.8852  1 Se 1.76
O 0.0789 0.1201 0.1148  1 Se 1.76
O 0.4942 0.8606 0.6280  1 Se 1.69
O 0.6336 0.1394 0.3720  1 Se 1.69
O 0.7497 0.8806 0.5562  1 Se 1.75
O 0.8691 0.1194 0.4438  1 Se 1.75
O 0.7101 0.1133 0.6262  1 Se 1.76
O 0.5967 0.8867 0.3738  1 Se 1.76
O 0.8917 0.6674 0.9516  2 Mo 1.96-1.97
O 0.2243 0.3326 0.0484  2 Mo 1.96-1.97
O 0.6638 0.8362 0.8775  2 Mo 1.95-1.99
O 0.8275 0.1638 0.1225  2 Mo 1.95-1.99
O 0.1811 0.7375 0.0412  1 Mo 1.74
O 0.4436 0.2625 0.9588  1 Mo 1.74
O 0.5902 0.5898 0.9508  1 Mo 1.75
O 0.0004 0.4102 0.0492  1 Mo 1.75
O 0.8494 0.8450 0.3688  2 Mo 1.96-1.99
O 0.0043 0.1550 0.6312  2 Mo 1.96-1.99
O 0.6687 0.5955 0.4406  1 Mo 1.74
O 0.0733 0.4045 0.5594  1 Mo 1.74
O 0.1380 0.7474 0.8220  1 Mo 1.76
O 0.3906 0.2526 0.1780  1 Mo 1.76
O 0.4423 0.6656 0.4233  2 Mo 1.95-1.98
O 0.7767 0.3344 0.5767  2 Mo 1.95-1.98
O 0.4235 0.0000 0.5000  2 Mo 1.94
O 0.2875 0.7674 0.3061  1 Mo 1.77
O 0.5201 0.2326 0.6939  1 Mo 1.77
O 0.0431 0.9152 0.5734  1 Mo 1.75
O 0.1279 0.0848 0.4266  1 Mo 1.75
O 0.5490 0.9265 0.0812  1 Mo 1.75
O 0.6225 0.0735 0.9188  1 Mo 1.75
O 0.7134 0.6204 0.7513  1 Mo 1.75
O 0.0930 0.3796 0.2487  1 Mo 1.75
O 0.5927 0.6246 0.2348  1 Mo 1.75
O 0.9681 0.3754 0.7652  1 Mo 1.75
O 0.2169 0.7274 0.5155  1 Mo 1.74
O 0.4895 0.2726 0.4845  1 Mo 1.74
O 0.2503 0.0000 0.0000  2 Mo 1.95

Calculated values
magnetization	0.000	μB/atom
raw total energy	-462.22	eV for the cell shown
V	1190	Å³/cell

2.
Computed, not measured: K2UMo2HO10 after structural relaxation at the PBE with a Hubbard U level of DFT.

a b c (Å): 7.9352 11.0977 13.6997
angles (deg): 90.00 99.89 90.00
Closest atoms and distances in Å follow each position.
Element x y z (fractional)
K 0.5702 0.1723 0.4104  4 O 2.65-2.82
K 0.4298 0.8277 0.5896  4 O 2.65-2.82
K 0.4298 0.6723 0.0896  4 O 2.65-2.82
K 0.5702 0.3277 0.9104  4 O 2.65-2.82
K 0.2531 0.0703 0.1254  4 O 2.77-2.92
K 0.7469 0.9298 0.8746  4 O 2.77-2.92
K 0.7469 0.5702 0.3746  4 O 2.77-2.92
K 0.2531 0.4298 0.6254  4 O 2.77-2.92
U 0.0309 0.2422 0.3540  2 O 1.84
U 0.9691 0.7578 0.6460  2 O 1.84
U 0.9691 0.7422 0.1460  2 O 1.84
U 0.0309 0.2578 0.8540  2 O 1.84
Mo 0.9880 0.3989 0.0917  4 O 1.74-1.87
Mo 0.0120 0.6011 0.9083  4 O 1.74-1.87
Mo 0.0120 0.8989 0.4083  4 O 1.74-1.87
Mo 0.9880 0.1011 0.5917  4 O 1.74-1.87
Mo 0.2657 0.5460 0.3582  4 O 1.76-1.85
Mo 0.7343 0.4540 0.6418  4 O 1.76-1.85
Mo 0.7343 0.0460 0.1418  4 O 1.76-1.85
Mo 0.2657 0.9540 0.8582  4 O 1.76-1.85
H 0.4810 0.2948 0.1891  2 O 2.77-3.06
H 0.5190 0.7052 0.8109  2 O 2.77-3.06
H 0.5190 0.7948 0.3109  2 O 2.77-3.06
H 0.4810 0.2052 0.6891  2 O 2.77-3.06
O 0.0810 0.2748 0.0299  1 Mo 1.84
O 0.9190 0.7252 0.9701  1 Mo 1.84
O 0.9190 0.7748 0.4701  1 Mo 1.84
O 0.0810 0.2252 0.5299  1 Mo 1.84
O 0.6247 0.1316 0.0429  1 Mo 1.76
O 0.3753 0.8684 0.9571  1 Mo 1.76
O 0.3753 0.6316 0.4571  1 Mo 1.76
O 0.6247 0.3684 0.5429  1 Mo 1.76
O 0.7655 0.3952 0.0782  1 Mo 1.74
O 0.2345 0.6048 0.9218  1 Mo 1.74
O 0.2345 0.8952 0.4218  1 Mo 1.74
O 0.7655 0.1048 0.5782  1 Mo 1.74
O 0.0721 0.5553 0.0831  1 Mo 1.87
O 0.9279 0.4447 0.9169  1 Mo 1.87
O 0.9279 0.0553 0.4169  1 Mo 1.87
O 0.0721 0.9447 0.5831  1 Mo 1.87
O 0.1756 0.8145 0.1400  1 U 1.84
O 0.8244 0.1855 0.8600  1 U 1.84
O 0.8244 0.3145 0.3600  1 U 1.84
O 0.1756 0.6855 0.6400  1 U 1.84
O 0.2341 0.1678 0.3431  1 U 1.84
O 0.7659 0.8322 0.6569  1 U 1.84
O 0.7659 0.6678 0.1569  1 U 1.84
O 0.2341 0.3322 0.8431  1 U 1.84
O 0.0629 0.3666 0.2210  1 Mo 1.80
O 0.9371 0.6334 0.7790  1 Mo 1.80
O 0.9371 0.8666 0.2790  1 Mo 1.80
O 0.0629 0.1334 0.7210  1 Mo 1.80
O 0.1756 0.4152 0.4161  1 Mo 1.85
O 0.8244 0.5848 0.5839  1 Mo 1.85
O 0.8244 0.9152 0.0839  1 Mo 1.85
O 0.1756 0.0848 0.9161  1 Mo 1.85
O 0.0933 0.6364 0.2860  1 Mo 1.84
O 0.9067 0.3636 0.7140  1 Mo 1.84
O 0.9067 0.1364 0.2140  1 Mo 1.84
O 0.0933 0.8636 0.7860  1 Mo 1.84
O 0.4198 0.5068 0.2847  1 Mo 1.77
O 0.5802 0.4932 0.7153  1 Mo 1.77
O 0.5802 0.0068 0.2153  1 Mo 1.77
O 0.4198 0.9932 0.7847  1 Mo 1.77

Calculated values
magnetization	0.062	μB/atom
raw total energy	-442.52	eV for the cell shown
V	1189	Å³/cell

3.
Computed, not measured: K3VMo3H4O15 after structural relaxation at the PBE with a Hubbard U level of DFT.

a b c (Å): 10.0105 10.0105 9.5074
angles (deg): 61.71 61.71 82.04
Closest atoms and distances in Å follow each position.
Element x y z (fractional)
K 0.0000 0.0000 0.5000  6 O 2.67-2.76
K 0.9834 0.5905 0.7686  9 O 2.89-3.17, 1 H 3.13
K 0.5905 0.9834 0.7686  9 O 2.89-3.17, 1 H 3.13
K 0.0166 0.4095 0.2314  9 O 2.89-3.17, 1 H 3.13
K 0.4095 0.0166 0.2314  9 O 2.89-3.17, 1 H 3.13
K 0.5000 0.5000 0.0000  6 O 2.96-3.12, 4 H 3.18
V 0.1175 0.1175 0.9995  2 O 1.65-1.76
V 0.8825 0.8825 0.0005  2 O 1.65-1.76
Mo 0.2686 0.2686 0.5378  2 O 1.74-1.77
Mo 0.7314 0.7314 0.4622  2 O 1.74-1.77
Mo 0.8931 0.2406 0.7746  3 O 1.75-1.93
Mo 0.2406 0.8931 0.7746  3 O 1.75-1.93
Mo 0.1069 0.7594 0.2254  3 O 1.75-1.93
Mo 0.7594 0.1069 0.2254  3 O 1.75-1.93
H 0.2592 0.4264 0.8183  1 O 0.99
H 0.4264 0.2592 0.8183  1 O 0.99
H 0.7408 0.5736 0.1817  1 O 0.99
H 0.5736 0.7408 0.1817  1 O 0.99
H 0.3227 0.5842 0.7715  1 O 0.98
H 0.5842 0.3227 0.7715  1 O 0.98
H 0.6773 0.4158 0.2285  1 O 0.98
H 0.4158 0.6773 0.2285  1 O 0.98
O 0.2537 0.2537 0.7869  1 V 1.76, 2 H 1.90
O 0.7463 0.7463 0.2131  1 V 1.76, 2 H 1.90
O 0.1477 0.1477 0.1392  1 V 1.65
O 0.8523 0.8523 0.8608  1 V 1.65
O 0.8657 0.2098 0.6229  1 Mo 1.75
O 0.2098 0.8657 0.6229  1 Mo 1.75
O 0.1343 0.7902 0.3771  1 Mo 1.75
O 0.7902 0.1343 0.3771  1 Mo 1.75
O 0.9433 0.2301 0.9996  1 V 1.94, 1 Mo 1.97
O 0.2301 0.9433 0.9996  1 V 1.94, 1 Mo 1.97
O 0.0567 0.7699 0.0004  1 V 1.94, 1 Mo 1.97
O 0.7699 0.0567 0.0004  1 V 1.94, 1 Mo 1.97
O 0.2358 0.2358 0.3887  1 Mo 1.77
O 0.7642 0.7642 0.6113  1 Mo 1.77
O 0.0862 0.3686 0.6144  2 Mo 1.93-1.95
O 0.3686 0.0862 0.6144  2 Mo 1.93-1.95
O 0.9138 0.6314 0.3856  2 Mo 1.93-1.95
O 0.6314 0.9138 0.3856  2 Mo 1.93-1.95
O 0.0626 0.0626 0.8087  1 V 2.12, 2 Mo 2.30
O 0.9374 0.9374 0.1913  1 V 2.12, 2 Mo 2.30
O 0.4163 0.4163 0.3947  1 Mo 1.74
O 0.5837 0.5837 0.6053  1 Mo 1.74
O 0.7759 0.3819 0.8046  1 Mo 1.75
O 0.3819 0.7759 0.8046  1 Mo 1.75
O 0.2241 0.6181 0.1954  1 Mo 1.75
O 0.6181 0.2241 0.1954  1 Mo 1.75
O 0.2341 0.5070 0.8558  2 H 0.98-0.99
O 0.5070 0.2341 0.8558  2 H 0.98-0.99
O 0.7659 0.4930 0.1442  2 H 0.98-0.99
O 0.4930 0.7659 0.1442  2 H 0.98-0.99

Calculated values
magnetization	0.000	μB/atom
raw total energy	-323.71	eV for the cell shown
V	734	Å³/cell